VASP calculation (PBE+U) on crystalline Li3P3W2O12 at its relaxed geometry.

```
Li3P3W2O12
1.0
-4.733 -7.542 1.301
5.838 -4.529 -5.019
12.643 -7.033 5.220
Li P W O
12 12 8 48
direct
0.910 0.383 0.694
0.298 0.320 0.759
0.224 0.027 0.178
0.724 0.973 0.322
0.798 0.680 0.741
0.410 0.617 0.806
0.590 0.383 0.194
0.202 0.320 0.259
0.276 0.027 0.678
0.776 0.973 0.822
0.702 0.680 0.241
0.090 0.617 0.306
0.751 0.549 0.491
0.614 0.254 0.848
0.898 0.952 0.151
0.114 0.746 0.652
0.398 0.048 0.349
0.251 0.451 0.009
0.749 0.549 0.991
0.602 0.952 0.651
0.886 0.254 0.348
0.102 0.048 0.849
0.386 0.746 0.152
0.249 0.451 0.509
0.464 0.636 0.612
0.964 0.364 0.888
0.036 0.636 0.112
0.536 0.364 0.388
0.543 0.137 0.111
0.043 0.863 0.389
0.957 0.137 0.611
0.457 0.863 0.889
0.133 0.603 0.435
0.120 0.222 0.850
0.305 0.469 0.598
0.404 0.896 0.173
0.629 0.532 0.564
0.774 0.334 0.808
0.595 0.175 0.965
0.023 0.902 0.235
0.744 0.969 0.192
0.825 0.741 0.434
0.943 0.123 0.045
0.493 0.407 0.782
0.993 0.593 0.718
0.443 0.877 0.455
0.325 0.259 0.066
0.244 0.031 0.308
0.095 0.825 0.535
0.523 0.098 0.265
0.274 0.666 0.692
0.129 0.468 0.936
0.805 0.531 0.902
0.620 0.778 0.650
0.904 0.104 0.327
0.633 0.397 0.065
0.367 0.603 0.935
0.096 0.896 0.673
0.380 0.222 0.350
0.195 0.469 0.098
0.871 0.532 0.064
0.726 0.334 0.308
0.477 0.902 0.735
0.905 0.175 0.465
0.756 0.969 0.692
0.675 0.741 0.934
0.557 0.123 0.545
0.007 0.407 0.282
0.507 0.593 0.218
0.057 0.877 0.955
0.175 0.259 0.566
0.256 0.031 0.808
0.977 0.098 0.765
0.405 0.825 0.035
0.226 0.666 0.192
0.371 0.468 0.436
0.596 0.104 0.827
0.695 0.531 0.402
0.880 0.778 0.150
0.867 0.397 0.565
```

Calculated values
**Volume**: 12.61 Å³/atom
**M_tot**: 6.0 μB/f.u.
**Calculated density**: 4.44 Mg/m³
**Energy of formation**: -2.488 eV/atom
**Space-group type**: P2_1/c (14)